# Tm4Ga12Pd PBE-GGA optimized geometry
data_Tm4Ga12Pd
_chemical_formula_sum 'Tm8 Ga24 Pd2'
_cell_length_a 8.6052
_cell_length_b 8.6052
_cell_length_c 8.6052
_cell_angle_alpha 90.00
_cell_angle_beta 90.00
_cell_angle_gamma 90.00
_symmetry_space_group_name_H-M 'I m -3 m'
_symmetry_Int_Tables_number 229
_symmetry_space_group_name_Hall '-I 4 2 3'
loop_
_atom_site_label
_atom_site_type_symbol
_atom_site_fract_x
_atom_site_fract_y
_atom_site_fract_z
Tm1 Tm 0.2500 0.2500 0.2500
Ga1 Ga 0.0000 0.0000 0.2960
Ga2 Ga 0.0000 0.2500 0.5000
Pd1 Pd 0.0000 0.0000 0.0000
# - total DFT energy (no corrections) (eV per atom) = -4.0753
# - ρ (Mg/m³) = 8.44
# - energy of formation from the pure elements (eV/atom) = -0.580


# Cs2Li2B2P4O15 PBE-GGA optimized geometry
data_Cs2Li2B2P4O15
_chemical_formula_sum 'Cs4 Li4 B4 P8 O30'
_cell_length_a 7.2743
_cell_length_b 7.9800
_cell_length_c 14.2736
_cell_angle_alpha 86.04
_cell_angle_beta 75.64
_cell_angle_gamma 66.20
_symmetry_space_group_name_H-M 'P -1'
_symmetry_Int_Tables_number 2
_symmetry_space_group_name_Hall '-P 1'
loop_
_atom_site_label
_atom_site_type_symbol
_atom_site_fract_x
_atom_site_fract_y
_atom_site_fract_z
Cs1 Cs 0.0989 0.2404 0.3507
Cs2 Cs 0.2824 0.8117 0.8658
Li1 Li 0.2217 0.2271 0.0088
Li2 Li 0.2888 0.2581 0.7764
B1 B 0.1359 0.7169 0.2864
B2 B 0.4635 0.7570 0.5096
P1 P 0.1649 0.5811 0.1100
P2 P 0.2641 0.1086 0.5982
P3 P 0.3400 0.8425 0.1293
P4 P 0.4826 0.5302 0.3597
O1 O 0.0216 0.6828 0.0463
O2 O 0.0227 0.1983 0.6254
O3 O 0.0466 0.6552 0.2198
O4 O 0.2113 0.9983 0.0765
O5 O 0.2211 0.8515 0.2405
O6 O 0.2584 0.3747 0.1042
O7 O 0.2965 0.5522 0.3160
O8 O 0.3099 0.9484 0.5267
O9 O 0.3235 0.2552 0.5322
O10 O 0.3338 0.4614 0.7137
O11 O 0.3572 0.6472 0.0895
O12 O 0.3632 0.0551 0.6825
O13 O 0.3891 0.6742 0.4455
O14 O 0.4402 0.1787 0.8793
O15 O 0.4562 0.6686 0.6028
# - total DFT energy (no corrections) (eV per atom) = -6.9391
# - spin magnetization (μB/f.u.) = 0.001
# - ρ (Mg/m³) = 3.01
# - energy of formation from the pure elements (eV/atom) = -2.758


# LiBeAs PBE-GGA optimized geometry
data_LiBeAs
_chemical_formula_sum 'Li2 Be2 As2'
_cell_length_a 3.7483
_cell_length_b 3.7483
_cell_length_c 6.2129
_cell_angle_alpha 90.00
_cell_angle_beta 90.00
_cell_angle_gamma 90.00
_symmetry_space_group_name_H-M 'P 4/n m m'
_symmetry_Int_Tables_number 129
loop_
_symmetry_equiv_pos_as_xyz
'x,y,z'
'-x,-y,-z'
'-y+1/2,x,z'
'y+1/2,-x,-z'
'-x+1/2,-y+1/2,z'
'x+1/2,y+1/2,-z'
'y,-x+1/2,z'
'-y,x+1/2,-z'
'x+1/2,-y,-z'
'-x+1/2,y,z'
'-y,-x,-z'
'y,x,z'
'-x,y+1/2,-z'
'x,-y+1/2,z'
'y+1/2,x+1/2,-z'
'-y+1/2,-x+1/2,z'
loop_
_atom_site_label
_atom_site_type_symbol
_atom_site_fract_x
_atom_site_fract_y
_atom_site_fract_z
Li1 Li 0.2500 0.2500 0.1542
Be1 Be 0.2500 0.7500 0.5000
As1 As 0.2500 0.2500 0.7243
# - total DFT energy (no corrections) (eV per atom) = -3.9179
# - ρ (Mg/m³) = 3.46
# - energy of formation from the pure elements (eV/atom) = -0.482


# KLi4NbO5 PBE-GGA optimized geometry
data_KLi4NbO5
_chemical_formula_sum 'K2 Li8 Nb2 O10'
_cell_length_a 5.8681
_cell_length_b 5.9898
_cell_length_c 8.3358
_cell_angle_alpha 88.40
_cell_angle_beta 79.04
_cell_angle_gamma 60.85
_symmetry_space_group_name_H-M 'P -1'
_symmetry_Int_Tables_number 2
_symmetry_space_group_name_Hall '-P 1'
loop_
_atom_site_label
_atom_site_type_symbol
_atom_site_fract_x
_atom_site_fract_y
_atom_site_fract_z
K1 K 0.1151 0.2376 0.0837
Li1 Li 0.0974 0.6086 0.4132
Li2 Li 0.1597 0.0006 0.3801
Li3 Li 0.3831 0.6678 0.1116
Li4 Li 0.4090 0.3959 0.6049
Nb1 Nb 0.3575 0.9374 0.6983
O1 O 0.0190 0.8172 0.2230
O2 O 0.2400 0.7560 0.5524
O3 O 0.2800 0.2354 0.4680
O4 O 0.4285 0.7059 0.8654
O5 O 0.4782 0.1595 0.7804
# - total DFT energy (no corrections) (eV per atom) = -6.1502
# - spin magnetization (μB/f.u.) = 0.000
# - ρ (Mg/m³) = 3.18
# - energy of formation from the pure elements (eV/atom) = -2.500


# Te4Mo3WSe2S2 PBE-GGA optimized geometry
data_Te4Mo3WSe2S2
_chemical_formula_sum 'Te4 Mo3 W1 Se2 S2'
_cell_length_a 3.4007
_cell_length_b 3.4007
_cell_length_c 38.8400
_cell_angle_alpha 90.00
_cell_angle_beta 90.00
_cell_angle_gamma 120.00
_symmetry_space_group_name_H-M 'P 3 m 1'
_symmetry_Int_Tables_number 156
_symmetry_space_group_name_Hall 'P 3 -2"'
loop_
_atom_site_label
_atom_site_type_symbol
_atom_site_fract_x
_atom_site_fract_y
_atom_site_fract_z
Te1 Te 0.0000 0.0000 0.0000
Te2 Te 0.0000 0.0000 0.0965
Te3 Te 0.6667 0.3333 0.8116
Te4 Te 0.6667 0.3333 0.9086
Mo1 Mo 0.0000 0.0000 0.2360
Mo2 Mo 0.6667 0.3333 0.0482
Mo3 Mo 0.6667 0.3333 0.6724
W1 W 0.0000 0.0000 0.8601
Se1 Se 0.6667 0.3333 0.1936
Se2 Se 0.6667 0.3333 0.2785
S1 S 0.0000 0.0000 0.6338
S2 S 0.0000 0.0000 0.7111
# - total DFT energy (no corrections) (eV per atom) = -6.5279
# - E above lowest polymorph (meV/atom) = 36
# - spin magnetization (μB/f.u.) = 0.002
# - ρ (Mg/m³) = 5.14
# - energy of formation from the pure elements (eV/atom) = -0.501


# RbTlF3 PBE-GGA optimized geometry
data_RbTlF3
_chemical_formula_sum 'Rb8 Tl8 F24'
_cell_length_a 6.6444
_cell_length_b 13.3836
_cell_length_c 9.2936
_cell_angle_alpha 90.00
_cell_angle_beta 90.00
_cell_angle_gamma 90.00
_symmetry_space_group_name_H-M 'P b a m'
_symmetry_Int_Tables_number 55
_symmetry_space_group_name_Hall '-P 2 2ab'
loop_
_atom_site_label
_atom_site_type_symbol
_atom_site_fract_x
_atom_site_fract_y
_atom_site_fract_z
Rb1 Rb 0.2221 0.1305 0.0000
Rb2 Rb 0.2445 0.1179 0.5000
Tl1 Tl 0.2429 0.3746 0.2498
F1 F 0.0000 0.0000 0.2896
F2 F 0.0000 0.5000 0.3058
F3 F 0.0226 0.7420 0.2011
F4 F 0.2448 0.8329 0.5000
F5 F 0.2456 0.9163 0.0000
# - total DFT energy (no corrections) (eV per atom) = -3.9781
# - spin magnetization (μB/f.u.) = 0.001
# - ρ (Mg/m³) = 5.58
# - energy of formation from the pure elements (eV/atom) = -2.438


# LaMg2Cr3S8 PBE-GGA optimized geometry
data_LaMg2Cr3S8
_chemical_formula_sum 'La2 Mg4 Cr6 S16'
_cell_length_a 12.7602
_cell_length_b 7.3782
_cell_length_c 7.5652
_cell_angle_alpha 90.00
_cell_angle_beta 124.21
_cell_angle_gamma 90.00
_symmetry_space_group_name_H-M 'C 1 2/m 1'
_symmetry_Int_Tables_number 12
_symmetry_space_group_name_Hall '-C 2y'
loop_
_atom_site_label
_atom_site_type_symbol
_atom_site_fract_x
_atom_site_fract_y
_atom_site_fract_z
La1 La 0.0000 0.0000 0.0000
Mg1 Mg 0.1239 0.5000 0.8721
Cr1 Cr 0.0000 0.0000 0.5000
Cr2 Cr 0.2500 0.2500 0.5000
S1 S 0.0199 0.2423 0.3021
S2 S 0.2368 0.0000 0.7104
S3 S 0.2378 0.5000 0.6976
# - total DFT energy (no corrections) (eV per atom) = -6.0908
# - spin magnetization (μB/f.u.) = 9.001
# - ρ (Mg/m³) = 3.38
# - energy of formation from the pure elements (eV/atom) = -1.365


# TmRu3C PBE-GGA optimized geometry
data_TmRu3C
_chemical_formula_sum 'Tm1 Ru3 C1'
_cell_length_a 4.1425
_cell_length_b 4.1425
_cell_length_c 4.1425
_cell_angle_alpha 90.00
_cell_angle_beta 90.00
_cell_angle_gamma 90.00
_symmetry_space_group_name_H-M 'P m -3 m'
_symmetry_Int_Tables_number 221
_symmetry_space_group_name_Hall '-P 4 2 3'
loop_
_atom_site_label
_atom_site_type_symbol
_atom_site_fract_x
_atom_site_fract_y
_atom_site_fract_z
Tm1 Tm 0.0000 0.0000 0.0000
Ru1 Ru 0.0000 0.5000 0.5000
C1 C 0.5000 0.5000 0.5000
# - total DFT energy (no corrections) (eV per atom) = -8.5667
# - ρ (Mg/m³) = 11.31
# - energy of formation from the pure elements (eV/atom) = -0.261